Entry 1:
Dy3BeCrS7: relaxed, PBE.

Properties
calculated total energy	-6.26	eV/atom
energy of formation from the pure elements	-1.869	eV per atom

a b c (Å): 9.5840 9.5840 6.0162
angles (deg): 90.00 90.00 120.00
Space group P6_3 (No. 173)
Unique sites:
Dy 0.1488 0.3927 0.0000 [6 per cell]
Be 0.3333 0.6667 0.4160 [2 per cell]
Cr 0.0000 0.0000 0.3068 [2 per cell]
S 0.0895 0.2274 0.5658 [6 per cell]
S 0.1021 0.5815 0.2798 [6 per cell]
S 0.3333 0.6667 0.7661 [2 per cell]


Entry 2:
Be4CrMo: relaxed, PBE.

Properties
calculated total energy	-6.16	eV/atom
energy of formation from the pure elements	-0.249	eV per atom

a b c (Å): 4.3439 4.3439 7.1031
angles (deg): 90.00 90.00 120.00
Space group P-3m1 (No. 164)
Unique sites:
Be 0.0000 0.0000 0.0000 [1 per cell]
Be 0.0000 0.0000 0.5000 [1 per cell]
Be 0.1700 0.3400 0.2420 [6 per cell]
Cr 0.3333 0.6667 0.9402 [2 per cell]
Mo 0.3333 0.6667 0.5658 [2 per cell]


Entry 3:
Be8NbCr3: relaxed, PBE.

Properties
calculated total energy	-5.94	eV/atom
energy of formation from the pure elements	-0.193	eV per atom

a b c (Å): 4.3211 4.3211 7.0828
angles (deg): 90.00 90.00 120.00
Space group P3m1 (No. 156)
Unique sites:
Be 0.0000 0.0000 0.0000 [1 per cell]
Be 0.0000 0.0000 0.4941 [1 per cell]
Be 0.1701 0.3403 0.7583 [3 per cell]
Be 0.3391 0.1695 0.2415 [3 per cell]
Nb 0.6667 0.3333 0.5619 [1 per cell]
Cr 0.3333 0.6667 0.0656 [1 per cell]
Cr 0.3333 0.6667 0.4213 [1 per cell]
Cr 0.6667 0.3333 0.9406 [1 per cell]


Entry 4:
Pr3BeCrS7: relaxed, PBE.

Properties
calculated total energy	-6.30	eV/atom
energy of formation from the pure elements	-1.869	eV per atom

a b c (Å): 10.0305 10.0305 6.0288
angles (deg): 90.00 90.00 120.00
Space group P6_3 (No. 173)
Unique sites:
Pr 0.1415 0.3901 0.0000 [6 per cell]
Be 0.3333 0.6667 0.4156 [2 per cell]
Cr 0.0000 0.0000 0.2797 [2 per cell]
S 0.0789 0.2188 0.5331 [6 per cell]
S 0.1102 0.5898 0.2861 [6 per cell]
S 0.3333 0.6667 0.7647 [2 per cell]


Entry 5:
CsLiBeF4: relaxed, PBE.

Properties
calculated total energy	-5.12	eV/atom
energy of formation from the pure elements	-3.354	eV per atom

a b c (Å): 5.448 8.978 10.823
angles (deg): 90.00 119.73 90.00
Space group P2_1/c (No. 14)
Unique sites:
Cs 0.025 0.002 0.274 [4 per cell]
Li 0.338 0.685 0.581 [4 per cell]
Be 0.328 0.199 0.085 [4 per cell]
F 0.027 0.245 0.469 [4 per cell]
F 0.336 0.025 0.087 [4 per cell]
F 0.389 0.245 0.735 [4 per cell]
F 0.443 0.740 0.950 [4 per cell]


Entry 6:
CsBeH3: relaxed, PBE.

Properties
calculated total energy	-3.06	eV/atom
energy of formation from the pure elements	-0.208	eV per atom

a b c (Å): 5.108 5.961 7.870
angles (deg): 90.00 108.22 90.00
Space group P2_1/m (No. 11)
Unique sites:
Cs 0.182 0.250 0.269 [2 per cell]
Be 0.239 0.250 0.739 [2 per cell]
H 0.091 0.250 0.862 [2 per cell]
H 0.304 0.047 0.672 [4 per cell]


Entry 7:
Be3Cu: relaxed, PBE.

Properties
calculated total energy	-3.87	eV/atom
energy of formation from the pure elements	-0.042	eV per atom

a b c (Å): 5.216 5.216 5.216
angles (deg): 90.00 90.00 90.00
Space group Fm-3m (No. 225)
Unique sites:
Be 0.000 0.000 0.000 [4 per cell]
Be 0.250 0.250 0.250 [8 per cell]
Cu 0.000 0.000 0.500 [4 per cell]


Entry 8:
Be2Cu: relaxed, PBE.

Properties
calculated total energy	-4.00	eV/atom
energy of formation from the pure elements	-0.140	eV per atom

a b c (Å): 5.988 5.988 5.988
angles (deg): 90.00 90.00 90.00
Space group Fd-3m (No. 227, origin choice 2)
Unique sites:
Be 0.000 0.000 0.000 [16 per cell]
Cu 0.125 0.125 0.625 [8 per cell]


Entry 9:
Be3Cu: relaxed, PBE.

Properties
calculated total energy	-3.93	eV/atom
energy of formation from the pure elements	-0.105	eV per atom

a b c (Å): 4.1697 4.1697 20.3970
angles (deg): 90.00 90.00 120.00
Space group R3m (No. 160, hexagonal axes)
Unique sites:
Be 0.0000 0.0000 0.0000 [3 per cell]
Be 0.0000 0.0000 0.1877 [3 per cell]
Be 0.0000 0.0000 0.5002 [3 per cell]
Be 0.9998 0.4999 0.2497 [9 per cell]
Be 0.0001 0.5001 0.7506 [9 per cell]
Cu 0.0000 0.0000 0.3099 [3 per cell]
Cu 0.0000 0.0000 0.6878 [3 per cell]
Cu 0.0000 0.0000 0.8149 [3 per cell]


Entry 10:
DyBeCu4: relaxed, PBE.

Properties
calculated total energy	-4.28	eV/atom
energy of formation from the pure elements	-0.154	eV per atom

a b c (Å): 5.0644 5.0644 3.8579
angles (deg): 90.00 90.00 120.00
Space group P-6m2 (No. 187)
Unique sites:
Dy 0.0000 0.0000 0.0000 [1 per cell]
Be 0.3333 0.6667 0.0000 [1 per cell]
Cu 0.0101 0.5051 0.5000 [3 per cell]
Cu 0.6667 0.3333 0.0000 [1 per cell]


Entry 11:
K2Be2CuO6F8: relaxed, PBE.

Properties
calculated total energy	-4.58	eV/atom
energy of formation from the pure elements	-1.726	eV per atom

a b c (Å): 5.948 13.524 7.477
angles (deg): 90.00 107.74 90.00
Space group P2_1/c (No. 14)
Unique sites:
K 0.127 0.120 0.391 [4 per cell]
Be 0.265 0.645 0.888 [4 per cell]
Cu 0.500 0.000 0.000 [2 per cell]
O 0.219 0.562 0.471 [4 per cell]
O 0.250 0.170 0.046 [4 per cell]
O 0.336 0.132 0.931 [4 per cell]
F 0.082 0.728 0.862 [4 per cell]
F 0.142 0.556 0.725 [4 per cell]
F 0.292 0.583 0.069 [4 per cell]
F 0.496 0.672 0.854 [4 per cell]


Entry 12:
BeCuO5F4: relaxed, PBE.

Properties
calculated total energy	-4.61	eV/atom
energy relative to the lowest polymorph listed for this composition	0	meV/atom
energy of formation from the pure elements	-1.195	eV per atom

a b c (Å): 5.307 6.546 10.630
angles (deg): 72.62 84.76 67.55
Space group P-1 (No. 2)
Unique sites:
Be 0.110 0.479 0.275 [2 per cell]
Cu 0.500 0.000 0.500 [1 per cell]
Cu 0.500 0.500 0.000 [1 per cell]
O 0.035 0.073 0.124 [2 per cell]
O 0.096 0.952 0.541 [2 per cell]
O 0.209 0.889 0.867 [2 per cell]
O 0.322 0.353 0.952 [2 per cell]
O 0.483 0.585 0.454 [2 per cell]
F 0.069 0.653 0.348 [2 per cell]
F 0.153 0.551 0.751 [2 per cell]
F 0.249 0.556 0.134 [2 per cell]
F 0.335 0.222 0.347 [2 per cell]


Entry 13:
BeCuO5F4: relaxed, PBE.

Properties
calculated total energy	-3.96	eV/atom
energy relative to the lowest polymorph listed for this composition	648	meV/atom
energy of formation from the pure elements	-0.547	eV per atom

a b c (Å): 5.307 6.546 10.630
angles (deg): 72.62 84.76 67.55
Space group P-1 (No. 2)
Unique sites:
Be 0.110 0.254 0.275 [2 per cell]
Cu 0.500 0.000 0.000 [1 per cell]
Cu 0.500 0.000 0.500 [1 per cell]
O 0.035 0.697 0.124 [2 per cell]
O 0.096 0.992 0.541 [2 per cell]
O 0.209 0.256 0.867 [2 per cell]
O 0.322 0.804 0.952 [2 per cell]
O 0.483 0.539 0.454 [2 per cell]
F 0.069 0.502 0.348 [2 per cell]
F 0.153 0.802 0.751 [2 per cell]
F 0.249 0.189 0.134 [2 per cell]
F 0.335 0.069 0.347 [2 per cell]


Entry 14:
BeCuO5F4: relaxed, PBE.

Properties
calculated total energy	-4.34	eV/atom
energy relative to the lowest polymorph listed for this composition	275	meV/atom
energy of formation from the pure elements	-0.920	eV per atom

a b c (Å): 4.967 6.522 9.147
angles (deg): 95.02 90.17 103.75
Space group P-1 (No. 2)
Unique sites:
Be 0.083 0.466 0.258 [2 per cell]
Cu 0.500 0.000 0.500 [1 per cell]
Cu 0.500 0.500 0.000 [1 per cell]
O 0.088 0.917 0.138 [2 per cell]
O 0.164 0.016 0.577 [2 per cell]
O 0.223 0.866 0.038 [2 per cell]
O 0.489 0.769 0.591 [2 per cell]
O 0.495 0.247 0.896 [2 per cell]
F 0.066 0.327 0.385 [2 per cell]
F 0.184 0.517 0.815 [2 per cell]
F 0.244 0.353 0.122 [2 per cell]
F 0.292 0.691 0.295 [2 per cell]


Entry 15:
Be4CuGe: relaxed, PBE.

Properties
calculated total energy	-3.78	eV/atom
energy of formation from the pure elements	0.170	eV per atom

a b c (Å): 6.246 6.246 6.246
angles (deg): 90.00 90.00 90.00
Space group F-43m (No. 216)
Unique sites:
Be 0.124 0.124 0.376 [16 per cell]
Cu 0.250 0.250 0.750 [4 per cell]
Ge 0.000 0.000 0.000 [4 per cell]


Entry 16:
HoBeCu4: relaxed, PBE.

Properties
calculated total energy	-4.27	eV/atom
energy of formation from the pure elements	-0.155	eV per atom

a b c (Å): 5.0242 5.0242 3.8920
angles (deg): 90.00 90.00 120.00
Space group P-6m2 (No. 187)
Unique sites:
Ho 0.0000 0.0000 0.0000 [1 per cell]
Be 0.3333 0.6667 0.0000 [1 per cell]
Cu 0.0077 0.5038 0.5000 [3 per cell]
Cu 0.6667 0.3333 0.0000 [1 per cell]


Entry 17:
Be4InCu: relaxed, PBE.

Properties
calculated total energy	-3.46	eV/atom
energy of formation from the pure elements	0.170	eV per atom

a b c (Å): 6.384 6.384 6.384
angles (deg): 90.00 90.00 90.00
Space group F-43m (No. 216)
Unique sites:
Be 0.124 0.124 0.376 [16 per cell]
In 0.000 0.000 0.000 [4 per cell]
Cu 0.250 0.250 0.750 [4 per cell]


Entry 18:
Be2CuIr: relaxed, PBE.

Properties
calculated total energy	-5.50	eV/atom
energy of formation from the pure elements	-0.400	eV per atom

a b c (Å): 5.501 5.501 5.501
angles (deg): 90.00 90.00 90.00
Space group Fm-3m (No. 225)
Unique sites:
Be 0.250 0.250 0.250 [8 per cell]
Cu 0.000 0.000 0.000 [4 per cell]
Ir 0.000 0.000 0.500 [4 per cell]